1.
Computed, not measured: a relaxed Lu2CuGe4O12 crystal at the GGA-PBE level of DFT.

Cell lengths 4.978, 7.147, 7.925 Å; angles 113.88, 86.96, 102.45 degrees
Fractional coordinates of all 19 atoms:
Lu: 0.962 0.771 0.549
Lu: 0.038 0.229 0.451
Cu: 0.000 0.000 0.000
Ge: 0.419 0.621 0.791
Ge: 0.581 0.379 0.209
Ge: 0.545 0.164 0.775
Ge: 0.455 0.836 0.225
O: 0.746 0.777 0.800
O: 0.254 0.223 0.200
O: 0.736 0.293 0.991
O: 0.264 0.707 0.009
O: 0.791 0.430 0.398
O: 0.209 0.570 0.602
O: 0.752 0.012 0.208
O: 0.248 0.988 0.792
O: 0.418 0.345 0.714
O: 0.582 0.655 0.286
O: 0.780 0.064 0.607
O: 0.220 0.936 0.393

**Theoretical density**: 5.91 g/cm³
**Total energy**: -6.893 eV per atom
**Space group**: P-1 (2)
**ΔH_f (0 K)**: -2537.2 meV per atom

=====

2.
Computed, not measured: a relaxed Ho12InPt7 crystal at the GGA-PBE level of DFT.

Cell lengths 10.914, 10.914, 10.914 Å; angles 116.03, 116.03, 97.02 degrees
Fractional coordinates of all 40 atoms:
Ho: 0.852 0.572 0.134
Ho: 0.562 0.281 0.134
Ho: 0.148 0.428 0.866
Ho: 0.938 0.072 0.719
Ho: 0.281 0.148 0.719
Ho: 0.428 0.562 0.281
Ho: 0.648 0.781 0.719
Ho: 0.781 0.062 0.134
Ho: 0.928 0.648 0.866
Ho: 0.438 0.719 0.866
Ho: 0.677 0.177 0.854
Ho: 0.062 0.928 0.281
Ho: 0.719 0.852 0.281
Ho: 0.572 0.438 0.719
Ho: 0.633 0.133 0.500
Ho: 0.133 0.633 0.500
Ho: 0.867 0.367 0.500
Ho: 0.367 0.867 0.500
Ho: 0.177 0.323 0.500
Ho: 0.219 0.938 0.866
Ho: 0.823 0.677 0.500
Ho: 0.323 0.823 0.146
Ho: 0.352 0.219 0.281
Ho: 0.072 0.352 0.134
In: 0.500 0.500 0.000
In: 0.000 0.000 0.000
Pt: 0.021 0.864 0.500
Pt: 0.979 0.136 0.500
Pt: 0.636 0.479 0.500
Pt: 0.521 0.021 0.157
Pt: 0.136 0.636 0.157
Pt: 0.479 0.979 0.843
Pt: 0.128 0.628 0.757
Pt: 0.628 0.872 0.500
Pt: 0.372 0.128 0.500
Pt: 0.872 0.372 0.243
Pt: 0.250 0.250 0.000
Pt: 0.750 0.750 0.000
Pt: 0.364 0.521 0.500
Pt: 0.864 0.364 0.843

**Theoretical density**: 11.89 g/cm³
**Total energy**: -6.035 eV per atom
**Space group**: I4/mcm (140)
**ΔH_f (0 K)**: -1023.3 meV per atom

=====

3.
Computed, not measured: a relaxed Tb2MgCu2 crystal at the GGA-PBE level of DFT.

Cell lengths 7.760, 7.760, 3.660 Å; angles 90.00, 90.00, 90.00 degrees
Fractional coordinates of all 10 atoms:
Tb: 0.676 0.176 0.500
Tb: 0.324 0.824 0.500
Tb: 0.176 0.324 0.500
Tb: 0.824 0.676 0.500
Mg: 0.000 0.000 0.000
Mg: 0.500 0.500 0.000
Cu: 0.118 0.618 0.000
Cu: 0.882 0.382 0.000
Cu: 0.618 0.882 0.000
Cu: 0.382 0.118 0.000

**Theoretical density**: 7.07 g/cm³
**Total energy**: -4.043 eV per atom
**Space group**: P4/mbm (127)
**ΔH_f (0 K)**: -229.4 meV per atom

=====

4.
Computed, not measured: a relaxed RbNaMg3Zn2Si12O30 crystal at the GGA-PBE level of DFT.

Cell lengths 10.274, 10.274, 14.565 Å; angles 90.01, 90.01, 60.00 degrees
Fractional coordinates of all 98 atoms:
Rb: 0.000 0.000 0.250
Rb: 0.000 0.000 0.750
Na: 0.333 0.333 0.500
Na: 0.667 0.667 0.000
Mg: 0.333 0.334 0.246
Mg: 0.333 0.333 0.754
Mg: 0.667 0.667 0.746
Mg: 0.666 0.667 0.254
Mg: 0.500 0.000 0.250
Mg: 0.000 0.500 0.250
Zn: 0.500 0.500 0.250
Zn: 0.500 0.000 0.750
Zn: 0.000 0.500 0.750
Zn: 0.500 0.500 0.750
Si: 0.354 0.886 0.392
Si: 0.886 0.760 0.392
Si: 0.760 0.354 0.392
Si: 0.354 0.886 0.608
Si: 0.886 0.760 0.608
Si: 0.760 0.354 0.608
Si: 0.240 0.114 0.892
Si: 0.646 0.240 0.892
Si: 0.114 0.646 0.892
Si: 0.240 0.114 0.108
Si: 0.646 0.240 0.108
Si: 0.114 0.646 0.108
Si: 0.648 0.113 0.609
Si: 0.113 0.239 0.609
Si: 0.239 0.648 0.609
Si: 0.648 0.113 0.391
Si: 0.114 0.239 0.391
Si: 0.239 0.648 0.391
Si: 0.761 0.886 0.109
Si: 0.352 0.761 0.109
Si: 0.887 0.352 0.109
Si: 0.761 0.887 0.891
Si: 0.352 0.761 0.891
Si: 0.887 0.352 0.891
O: 0.494 0.846 0.326
O: 0.846 0.660 0.326
O: 0.661 0.495 0.326
O: 0.495 0.844 0.674
O: 0.844 0.661 0.674
O: 0.661 0.495 0.674
O: 0.339 0.156 0.826
O: 0.505 0.339 0.826
O: 0.156 0.505 0.826
O: 0.340 0.154 0.174
O: 0.505 0.339 0.174
O: 0.154 0.506 0.174
O: 0.502 0.157 0.671
O: 0.157 0.340 0.671
O: 0.340 0.502 0.671
O: 0.503 0.156 0.329
O: 0.156 0.341 0.329
O: 0.340 0.502 0.329
O: 0.659 0.844 0.171
O: 0.498 0.660 0.171
O: 0.844 0.497 0.171
O: 0.660 0.843 0.829
O: 0.498 0.660 0.829
O: 0.843 0.498 0.829
O: 0.401 0.871 0.500
O: 0.871 0.729 0.500
O: 0.729 0.401 0.500
O: 0.271 0.129 0.000
O: 0.599 0.271 0.000
O: 0.129 0.599 0.000
O: 0.594 0.136 0.500
O: 0.136 0.270 0.500
O: 0.270 0.594 0.500
O: 0.730 0.864 0.000
O: 0.406 0.730 0.000
O: 0.864 0.406 0.000
O: 0.276 0.783 0.371
O: 0.782 0.941 0.371
O: 0.941 0.277 0.371
O: 0.276 0.783 0.629
O: 0.783 0.941 0.629
O: 0.941 0.276 0.629
O: 0.059 0.217 0.871
O: 0.724 0.059 0.871
O: 0.217 0.724 0.871
O: 0.059 0.218 0.129
O: 0.723 0.059 0.129
O: 0.217 0.724 0.129
O: 0.724 0.217 0.629
O: 0.217 0.059 0.630
O: 0.059 0.724 0.629
O: 0.725 0.217 0.371
O: 0.218 0.059 0.370
O: 0.058 0.724 0.370
O: 0.941 0.782 0.130
O: 0.276 0.942 0.130
O: 0.783 0.275 0.129
O: 0.941 0.783 0.870
O: 0.276 0.941 0.871
O: 0.783 0.276 0.871

**Theoretical density**: 2.82 g/cm³
**Total energy**: -7.223 eV per atom
**Space group**: C2 (5)
**ΔH_f (0 K)**: -3089.5 meV per atom

=====

5.
Computed, not measured: a relaxed K2Bi8Se13 crystal at the GGA-PBE level of DFT.

Cell lengths 14.009, 14.009, 12.389 Å; angles 87.67, 87.67, 17.32 degrees
Fractional coordinates of all 23 atoms:
K: 0.411 0.411 0.053
K: 0.589 0.589 0.947
Bi: 0.440 0.440 0.382
Bi: 0.717 0.717 0.130
Bi: 0.283 0.283 0.870
Bi: 0.924 0.924 0.704
Bi: 0.076 0.076 0.296
Bi: 0.810 0.810 0.454
Bi: 0.190 0.190 0.546
Bi: 0.560 0.560 0.618
Se: 0.139 0.139 0.118
Se: 0.000 0.000 0.500
Se: 0.709 0.709 0.911
Se: 0.291 0.291 0.089
Se: 0.861 0.861 0.882
Se: 0.370 0.370 0.569
Se: 0.743 0.743 0.642
Se: 0.257 0.257 0.358
Se: 0.630 0.630 0.431
Se: 0.480 0.480 0.798
Se: 0.520 0.520 0.202
Se: 0.889 0.889 0.276
Se: 0.111 0.111 0.724

**Theoretical density**: 6.38 g/cm³
**Total energy**: -3.952 eV per atom
**Space group**: C2/m (12)
**ΔH_f (0 K)**: -793.5 meV per atom

=====

6.
Computed, not measured: a relaxed NaAlGeO4 crystal at the GGA-PBE level of DFT.

Cell lengths 8.385, 8.908, 17.979 Å; angles 60.40, 90.00, 90.00 degrees
Fractional coordinates of all 84 atoms:
Na: 0.024 0.713 0.065
Na: 0.524 0.287 0.435
Na: 0.976 0.287 0.935
Na: 0.476 0.713 0.565
Na: 0.469 0.641 0.090
Na: 0.969 0.359 0.410
Na: 0.531 0.359 0.910
Na: 0.031 0.641 0.590
Na: 0.448 0.003 0.253
Na: 0.948 0.997 0.247
Na: 0.552 0.997 0.747
Na: 0.052 0.003 0.753
Al: 0.166 0.348 0.092
Al: 0.666 0.652 0.408
Al: 0.834 0.652 0.908
Al: 0.334 0.348 0.592
Al: 0.169 0.977 0.423
Al: 0.669 0.023 0.077
Al: 0.831 0.023 0.577
Al: 0.331 0.977 0.923
Al: 0.170 0.685 0.237
Al: 0.670 0.315 0.263
Al: 0.830 0.315 0.763
Al: 0.330 0.685 0.737
Ge: 0.284 0.030 0.078
Ge: 0.784 0.970 0.422
Ge: 0.716 0.970 0.922
Ge: 0.216 0.030 0.578
Ge: 0.279 0.652 0.410
Ge: 0.779 0.348 0.090
Ge: 0.721 0.348 0.590
Ge: 0.221 0.652 0.910
Ge: 0.283 0.315 0.266
Ge: 0.783 0.685 0.234
Ge: 0.717 0.685 0.734
Ge: 0.217 0.315 0.766
O: 0.472 0.592 0.394
O: 0.972 0.408 0.106
O: 0.528 0.408 0.606
O: 0.028 0.592 0.894
O: 0.477 0.117 0.050
O: 0.977 0.883 0.450
O: 0.523 0.883 0.950
O: 0.023 0.117 0.550
O: 0.477 0.262 0.310
O: 0.977 0.738 0.190
O: 0.523 0.738 0.690
O: 0.023 0.262 0.810
O: 0.149 0.599 0.349
O: 0.649 0.401 0.151
O: 0.851 0.401 0.651
O: 0.351 0.599 0.849
O: 0.151 0.204 0.051
O: 0.651 0.796 0.449
O: 0.849 0.796 0.949
O: 0.349 0.204 0.551
O: 0.272 0.877 0.372
O: 0.153 0.204 0.354
O: 0.847 0.796 0.646
O: 0.347 0.204 0.854
O: 0.268 0.542 0.021
O: 0.768 0.458 0.479
O: 0.732 0.458 0.979
O: 0.232 0.542 0.521
O: 0.233 0.923 0.021
O: 0.733 0.077 0.479
O: 0.767 0.077 0.979
O: 0.267 0.923 0.521
O: 0.258 0.541 0.208
O: 0.758 0.459 0.292
O: 0.742 0.459 0.792
O: 0.242 0.541 0.708
O: 0.238 0.239 0.693
O: 0.738 0.761 0.807
O: 0.762 0.761 0.307
O: 0.262 0.239 0.193
O: 0.223 0.883 0.690
O: 0.723 0.117 0.810
O: 0.777 0.117 0.310
O: 0.277 0.883 0.190
O: 0.228 0.877 0.872
O: 0.728 0.123 0.628
O: 0.772 0.123 0.128
O: 0.653 0.796 0.146

**Theoretical density**: 3.18 g/cm³
**Total energy**: -6.462 eV per atom
**Space group**: P2_1/c (14)
**ΔH_f (0 K)**: -2642.6 meV per atom

=====

7.
Computed, not measured: a relaxed Cd4P2Cl3 crystal at the GGA-PBE level of DFT.

Cell lengths 12.421, 12.421, 12.421 Å; angles 90.00, 90.00, 90.00 degrees
Fractional coordinates of all 72 atoms:
Cd: 0.723 0.223 0.277
Cd: 0.277 0.723 0.223
Cd: 0.223 0.277 0.723
Cd: 0.777 0.777 0.777
Cd: 0.277 0.777 0.723
Cd: 0.723 0.277 0.777
Cd: 0.777 0.723 0.277
Cd: 0.223 0.223 0.223
Cd: 0.750 0.030 0.512
Cd: 0.512 0.750 0.030
Cd: 0.030 0.512 0.750
Cd: 0.470 0.488 0.250
Cd: 0.012 0.750 0.970
Cd: 0.970 0.012 0.750
Cd: 0.988 0.250 0.530
Cd: 0.488 0.250 0.470
Cd: 0.530 0.988 0.250
Cd: 0.250 0.470 0.488
Cd: 0.250 0.530 0.988
Cd: 0.750 0.970 0.012
Cd: 0.250 0.970 0.488
Cd: 0.488 0.250 0.970
Cd: 0.970 0.488 0.250
Cd: 0.530 0.512 0.750
Cd: 0.988 0.250 0.030
Cd: 0.030 0.988 0.250
Cd: 0.012 0.750 0.470
Cd: 0.512 0.750 0.530
Cd: 0.470 0.012 0.750
Cd: 0.750 0.530 0.512
Cd: 0.750 0.470 0.012
Cd: 0.250 0.030 0.988
P: 0.949 0.051 0.551
P: 0.551 0.949 0.051
P: 0.051 0.551 0.949
P: 0.449 0.449 0.449
P: 0.051 0.949 0.449
P: 0.449 0.051 0.949
P: 0.949 0.449 0.051
P: 0.551 0.551 0.551
P: 0.607 0.107 0.393
P: 0.393 0.607 0.107
P: 0.107 0.393 0.607
P: 0.893 0.893 0.893
P: 0.393 0.893 0.607
P: 0.607 0.393 0.893
P: 0.893 0.607 0.393
P: 0.107 0.107 0.107
Cl: 0.681 0.074 0.727
Cl: 0.727 0.681 0.074
Cl: 0.074 0.727 0.681
Cl: 0.426 0.273 0.181
Cl: 0.227 0.819 0.926
Cl: 0.926 0.227 0.819
Cl: 0.773 0.319 0.574
Cl: 0.273 0.181 0.426
Cl: 0.574 0.773 0.319
Cl: 0.181 0.426 0.273
Cl: 0.319 0.574 0.773
Cl: 0.819 0.926 0.227
Cl: 0.319 0.926 0.273
Cl: 0.273 0.319 0.926
Cl: 0.926 0.273 0.319
Cl: 0.574 0.727 0.819
Cl: 0.773 0.181 0.074
Cl: 0.074 0.773 0.181
Cl: 0.227 0.681 0.426
Cl: 0.727 0.819 0.574
Cl: 0.426 0.227 0.681
Cl: 0.819 0.574 0.727
Cl: 0.681 0.426 0.227
Cl: 0.181 0.074 0.773

**Theoretical density**: 4.28 g/cm³
**Total energy**: -2.836 eV per atom
**Space group**: Pa-3 (205)
**ΔH_f (0 K)**: -811.6 meV per atom

=====

8.
Computed, not measured: a relaxed SrCaYBiO6 crystal at the GGA-PBE level of DFT.

Cell lengths 6.061, 6.061, 6.061 Å; angles 60.00, 60.00, 60.00 degrees
Fractional coordinates of all 10 atoms:
Sr: 0.750 0.750 0.750
Ca: 0.250 0.250 0.250
Y: 0.500 0.500 0.500
Bi: 0.000 0.000 0.000
O: 0.756 0.244 0.244
O: 0.244 0.756 0.756
O: 0.756 0.244 0.756
O: 0.244 0.756 0.244
O: 0.756 0.756 0.244
O: 0.244 0.244 0.756

**Theoretical density**: 5.50 g/cm³
**Total energy**: -6.631 eV per atom
**Space group**: F-43m (216)
**ΔH_f (0 K)**: -2669.7 meV per atom

=====

9.
Computed, not measured: a relaxed GdCl3 crystal at the GGA-PBE level of DFT.

Cell lengths 7.561, 7.561, 4.074 Å; angles 90.00, 90.00, 120.00 degrees
Fractional coordinates of all 8 atoms:
Gd: 0.333 0.667 0.250
Gd: 0.667 0.333 0.750
Cl: 0.396 0.304 0.250
Cl: 0.091 0.396 0.750
Cl: 0.304 0.909 0.750
Cl: 0.696 0.091 0.250
Cl: 0.909 0.604 0.250
Cl: 0.604 0.696 0.750

**Theoretical density**: 4.34 g/cm³
**Total energy**: -7.146 eV per atom
**Space group**: P6_3/m (176)
**ΔH_f (0 K)**: -2701.0 meV per atom

=====

10.
Computed, not measured: a relaxed Eu2ZnAg crystal at the GGA-PBE level of DFT.

Cell lengths 5.391, 5.391, 5.391 Å; angles 60.00, 60.00, 60.00 degrees
Fractional coordinates of all 4 atoms:
Eu: 0.250 0.250 0.250
Eu: 0.750 0.750 0.750
Zn: 0.000 0.000 0.000
Ag: 0.500 0.500 0.500

**Theoretical density**: 7.15 g/cm³
**Total energy**: -6.437 eV per atom
**Space group**: Fm-3m (225)
**ΔH_f (0 K)**: -285.5 meV per atom